Crystalline NaMgAl5P4H10O24 at its relaxed geometry. Source: Materials Project, functional PBE.

- Crystal system: monoclinic
- Calculated formation energy: -242 kJ per mole of atoms
- Total DFT energy (no corrections): -6.4920 eV per atom
- M_tot: 0.00 μB per formula unit

Cell and atoms, written as extended XYZ:
```
90
Lattice="12.6235 -2.5413 0.0000 12.6235 2.5413 0.0000 -4.8677 0.0000 12.6709" Properties=species:S:1:pos:R:3 pbc="T T T"
Na 8.9727 1.8616 9.5032
Na 11.4065 -1.8616 3.1677
Mg 3.8779 1.2706 6.3354
Mg 6.3117 -1.2706 0.0000
Al 0.0000 0.0000 0.0000
Al -2.4339 0.0000 6.3354
Al 5.9053 1.4275 8.1893
Al 3.2981 0.1116 1.4061
Al 0.8642 -0.1116 7.7415
Al 12.0401 1.4275 10.8171
Al 8.3392 -1.4275 1.8538
Al 19.5150 0.1116 4.9294
Al 17.0811 -0.1116 11.2648
Al 14.4739 -1.4275 4.4816
P 6.3452 1.1762 2.1871
P 10.0865 1.1040 1.2980
P 12.7266 1.1040 5.0374
P 16.4679 1.1762 4.1483
P 3.9113 -1.1762 8.5226
P 7.6526 -1.1040 7.6335
P 10.2928 -1.1040 11.3729
P 14.0341 -1.1762 10.4837
H 8.8400 1.2312 4.8888
H 6.8118 1.1401 10.8089
H 6.2894 0.5638 5.9363
H 5.0520 0.3859 10.1554
H 13.9731 1.2312 1.4466
H 11.1335 1.1401 8.1974
H 7.4859 -0.3859 3.8200
H 8.0899 0.2422 11.4095
H 3.8556 -0.5638 12.2717
H 9.8554 0.2422 7.5969
H 10.5238 -0.2422 5.0740
H 16.5237 0.5638 0.3992
H 12.2893 -0.2422 1.2614
H 12.8934 0.3859 8.8509
H 9.2457 -1.1401 4.4734
H 6.4061 -1.2312 11.2243
H 15.3272 -0.3859 2.5155
H 14.0898 -0.5638 6.7346
H 13.5674 -1.1401 1.8620
H 11.5393 -1.2312 7.7821
O 4.8496 0.9743 2.0437
O -1.7312 0.2926 10.5300
O 5.9573 1.4649 6.1841
O 8.5990 1.8982 5.5498
O 6.8218 1.2295 3.6647
O 5.4942 1.2749 10.0499
O 0.7026 -0.2926 4.1946
O 4.6328 1.0748 12.5445
O 0.9654 0.0434 11.1690
O 14.2141 1.8982 0.7856
O 3.3993 -0.0434 4.8335
O 11.6376 1.3353 1.2354
O 7.7158 1.1652 11.3146
O 11.1755 1.3353 5.1000
O 10.2296 1.1652 7.6917
O 4.6377 0.0168 7.8282
O 7.0715 -0.0168 1.4927
O 7.3786 0.2406 8.3275
O 12.4511 1.2749 8.9565
O 16.8558 1.4649 0.1513
O 13.3126 1.0748 6.4619
O 2.4157 -0.9743 8.3791
O 15.9913 1.2295 2.6707
O 9.8125 -0.2406 1.9921
O 10.5668 0.2406 10.6788
O 4.3880 -1.2295 10.0002
O 17.9635 0.9743 4.2918
O 7.0666 -1.0748 6.2090
O 3.5235 -1.4649 12.5196
O 7.9281 -1.2749 3.7144
O 13.0006 -0.2406 4.3434
O 13.3077 0.0168 11.1782
O 15.7415 -0.0168 4.8427
O 10.1496 -1.1652 4.9792
O 9.2037 -1.3353 7.5709
O 12.6635 -1.1652 1.3563
O 8.7416 -1.3353 11.4355
O 16.9800 0.0434 7.8374
O 6.1651 -1.8982 11.8852
O 19.4138 -0.0434 1.5019
O 15.7465 -1.0748 0.1264
O 19.6766 0.2926 8.4763
O 14.8850 -1.2749 2.6210
O 13.5574 -1.2295 9.0061
O 11.7803 -1.8982 7.1211
O 14.4219 -1.4649 6.4867
O 22.1104 -0.2926 2.1409
O 15.5297 -0.9743 10.6272
```

***

Crystalline NaMgAl3Si8H4O24 at its relaxed geometry. Source: Materials Project, functional PBE.

- Crystal system: triclinic
- Calculated formation energy: -286 kJ per mole of atoms
- Total DFT energy (no corrections): -7.1889 eV per atom
- M_tot: 0.00 μB per formula unit

Cell and atoms, written as extended XYZ:
```
41
Lattice="5.2847 0.0000 0.0000 -0.0023 9.0644 0.0000 -0.0356 -0.0021 10.0061" Properties=species:S:1:pos:R:3 pbc="T T T"
Na 0.0000 0.0000 0.0000
Mg 0.4655 7.9216 4.6808
Al 0.4625 1.8322 4.6796
Al 3.1128 3.3998 4.7061
Al 3.1094 6.3878 4.6994
Si 1.5010 6.3997 7.4197
Si 1.5070 3.3048 7.4073
Si 2.0419 1.8833 1.9693
Si 2.1165 7.8231 1.9638
Si 4.0925 7.8072 7.3933
Si 4.1501 1.8770 7.3966
Si 4.6841 3.3135 1.9778
Si 4.7019 6.3967 1.9670
H 1.4785 4.8662 3.5547
H 2.1469 0.4626 5.7074
H 4.0456 0.4620 3.6611
H 4.7587 4.8693 5.8481
O 0.1964 7.2072 8.0374
O 0.2330 2.4883 8.0387
O 0.6665 2.4917 1.3316
O 0.7232 7.2018 1.3409
O 1.1734 0.4758 5.7279
O 1.3719 4.8458 7.8943
O 1.5134 3.1719 5.7598
O 1.5560 6.5273 5.8023
O 2.0589 2.0703 3.5994
O 2.0814 0.3262 1.4329
O 2.1857 7.6663 3.5650
O 2.4425 4.8599 3.6935
O 2.8226 7.0780 8.1152
O 2.8604 2.6384 8.0314
O 3.3444 2.6287 1.3400
O 3.4216 7.1422 1.2438
O 3.7946 4.8629 5.7044
O 4.0283 7.6697 5.7885
O 4.0854 0.3160 7.9168
O 4.1439 2.0684 5.7629
O 4.6552 6.5231 3.5761
O 4.6988 3.1814 3.6195
O 4.8030 4.8509 1.4768
O 5.0184 0.4813 3.6026
```

***

Crystalline Na4Mg11AlSi12H4O40 at its relaxed geometry. Source: Materials Project, functional PBE.

- Crystal system: triclinic
- Calculated formation energy: -284 kJ per mole of atoms
- Total DFT energy (no corrections): -6.7781 eV per atom
- M_tot: 0.01 μB per formula unit

Cell and atoms, written as extended XYZ:
```
72
Lattice="8.9249 0.0000 0.0000 4.1211 8.8668 0.0000 1.2750 4.3242 9.4863" Properties=species:S:1:pos:R:3 pbc="T T T"
Na 0.0000 0.0000 0.0000
Na 4.8435 10.6946 4.4744
Na 10.3495 8.3155 3.5107
Na 11.0917 10.1414 8.0455
Mg 3.9418 5.7682 8.4357
Mg 3.3834 3.2470 3.4886
Mg 4.2923 3.0589 0.7131
Mg 5.0895 5.2732 5.4442
Mg 8.2822 11.6719 8.7818
Mg 6.0459 4.8915 2.5494
Mg 6.8156 7.1073 7.2930
Mg 7.7093 6.9298 4.4893
Mg 8.4578 8.6957 9.0845
Mg 8.7631 6.3636 1.5294
Mg 10.0051 5.0848 3.9711
Al 2.3490 3.7948 6.4737
Si 3.1463 6.0379 1.6372
Si 3.8520 8.1805 6.3161
Si 5.3996 10.0325 8.2430
Si 4.8570 7.8168 3.4209
Si 7.1789 9.1482 2.0701
Si 8.0293 9.8947 5.9758
Si 6.2383 2.3495 4.5908
Si 6.9763 4.4733 9.2123
Si 7.2410 1.9534 1.6887
Si 8.0042 4.1145 6.3853
Si 10.1030 6.7926 6.8336
Si 9.9131 3.3233 1.1508
H 2.8663 5.8504 4.8671
H 6.0400 6.7248 1.1018
H 4.9556 3.4354 6.8950
H 8.2174 4.2245 3.1945
O 1.4116 3.4805 2.7550
O 2.0588 5.4585 7.3977
O 4.3196 10.3982 9.4665
O 3.8429 8.3474 4.6430
O 4.4337 9.6108 6.9334
O 4.0395 7.4165 2.0366
O 2.2649 2.9636 0.1942
O 2.9929 4.8617 4.8700
O 6.1828 11.4645 7.9613
O 5.7881 9.1060 3.0587
O 4.0234 4.7061 2.0344
O 4.7291 6.8762 6.7368
O 7.0873 11.1864 5.4226
O 6.5803 8.9009 0.5366
O 4.2560 4.1029 7.1150
O 6.2865 8.7030 8.6239
O 5.6857 6.4950 3.8836
O 3.7998 1.7253 2.2440
O 7.2824 8.4630 5.7656
O 6.7115 6.0392 0.8803
O 5.4039 3.6670 4.1312
O 6.0934 5.8129 8.8471
O 8.6312 10.1265 7.4989
O 8.1017 7.9216 2.6906
O 6.3737 3.2611 1.2689
O 7.1057 5.4331 5.9825
O 9.3900 9.9542 4.9589
O 10.2712 11.9544 9.3953
O 8.0519 5.1960 3.2249
O 8.8518 7.1546 7.8145
O 7.1267 2.7411 5.9359
O 6.6434 0.5363 1.0671
O 7.2397 1.8085 3.3648
O 8.1128 4.1162 8.0330
O 9.0383 4.5818 0.5260
O 9.6710 6.6498 5.2407
O 10.6441 6.2518 2.3694
O 8.7977 2.0262 1.1868
O 11.2276 8.0696 6.8437
O 9.5001 3.8686 5.7347
```

***

Crystalline Mg5AlH21O17 at its relaxed geometry. Source: Materials Project, functional PBE.

- Crystal system: triclinic
- E above lowest polymorph: 19 meV per atom
- Calculated formation energy: -171 kJ per mole of atoms
- Total DFT energy (no corrections): -5.3058 eV per atom
- M_tot: 0.00 μB per formula unit

Cell and atoms, written as extended XYZ:
```
44
Lattice="3.1152 0.0000 0.0000 -1.5229 7.8857 0.0000 -0.2580 -1.7863 15.9949" Properties=species:S:1:pos:R:3 pbc="T T T"
Mg 0.0000 0.0000 0.0000
Mg -1.6630 6.6167 10.5451
Mg -0.0401 7.5173 2.6849
Mg -0.1023 6.9778 8.0020
Mg 1.4660 7.2395 5.3589
Al -0.1619 6.3126 13.2618
H -0.5596 2.6476 11.1028
H -0.3956 3.0506 7.5878
H -0.1127 0.3377 14.2097
H 0.0068 1.0074 9.0596
H 0.1107 1.5220 3.7723
H 0.0942 3.2474 6.1391
H 0.0314 4.7079 9.4846
H 0.1260 5.3358 4.2669
H -0.0265 4.2899 14.6547
H 1.5490 1.8129 1.3099
H 1.4614 0.5452 11.8500
H 1.1373 2.7495 10.4522
H 1.0955 2.3754 13.6961
H 1.2207 2.9535 8.6624
H 1.6380 1.2444 6.4684
H 1.2309 2.2165 15.2252
H 1.4149 3.3331 4.8125
H 1.6185 3.5918 3.3331
H 1.5773 5.6348 1.6331
H 1.4504 4.4690 12.1018
H 1.6433 5.0729 6.9823
O -0.7502 3.1583 6.6261
O -0.0787 0.5946 3.5725
O -0.1928 -0.6351 14.1517
O -0.1313 0.0349 9.0541
O 0.3445 2.9042 9.0817
O -0.0980 6.2760 4.2729
O -0.0945 5.6573 9.7280
O -0.1798 5.2389 14.8138
O 0.5659 2.2730 14.5153
O 0.9029 3.4303 3.9729
O 1.4296 0.3133 6.3170
O 1.3780 -0.4277 11.8162
O 1.5416 0.9383 0.9003
O 1.6172 2.6824 11.3893
O 1.5133 6.5956 1.5555
O 1.4525 6.0183 7.0221
O 1.4119 5.3831 12.4858
```

***

Crystalline Mg5AlH21O17 at its relaxed geometry. Source: Materials Project, functional PBE.

- Crystal system: triclinic
- E above lowest polymorph: 0 meV per atom
- Calculated formation energy: -173 kJ per mole of atoms
- Total DFT energy (no corrections): -5.3249 eV per atom
- M_tot: 0.00 μB per formula unit

Cell and atoms, written as extended XYZ:
```
44
Lattice="3.1073 0.0000 0.0000 1.3636 7.8844 0.0000 0.1753 1.8179 16.2395" Properties=species:S:1:pos:R:3 pbc="T T T"
Mg 0.0000 0.0000 0.0000
Mg 1.4943 9.0856 10.7916
Mg 0.1189 0.6381 5.3649
Mg 1.6911 1.6196 13.5016
Mg 2.9839 8.1566 2.7191
Al 1.6990 0.9312 8.0730
H 0.8752 4.8266 8.1329
H 1.4029 7.5817 14.5028
H 0.9611 4.4651 5.2759
H 1.4150 6.9181 9.0315
H 1.4005 6.2839 3.9351
H 1.4391 3.6021 1.2160
H 1.4642 3.7465 15.2685
H 1.5626 3.0159 9.4430
H 1.5706 2.5243 4.3275
H 1.9012 4.2933 2.5046
H 2.7826 5.9924 1.1670
H 3.0653 7.2411 11.9878
H 2.6725 4.6518 6.6154
H 3.2403 6.7011 6.7170
H 2.9406 5.1748 14.7623
H 3.3690 6.1812 15.8308
H 3.2742 5.0503 9.5232
H 2.9682 2.1758 1.7041
H 3.3442 4.3418 3.8884
H 3.2456 3.4730 12.2268
H 3.3751 2.7995 7.0436
O 1.5043 8.5450 14.4602
O 1.4737 7.9030 8.9677
O 1.4453 7.2479 3.7960
O 1.0686 5.0348 9.1417
O 1.1497 4.4142 4.2279
O 1.7360 2.8184 15.1877
O 1.6831 2.0547 9.5930
O 1.6680 1.5622 4.4519
O 2.2189 4.0478 1.6018
O 2.9277 6.9376 1.0054
O 3.0511 8.1776 11.7511
O 3.0613 7.6545 6.6016
O 3.7284 5.6528 15.0892
O 3.6351 4.4947 6.6918
O 3.2470 2.5163 12.3649
O 3.1731 1.2270 1.7018
O 3.2836 1.8138 7.2270
```

***

Crystalline Mg4Al3H17O17 at its relaxed geometry. Source: Materials Project, functional PBE.

- Crystal system: triclinic
- Calculated formation energy: -192 kJ per mole of atoms
- Total DFT energy (no corrections): -5.5955 eV per atom
- M_tot: 0.00 μB per formula unit

Cell and atoms, written as extended XYZ:
```
41
Lattice="3.0360 0.0000 0.0000 -1.4857 7.0178 0.0000 -1.4623 -2.1345 18.3824" Properties=species:S:1:pos:R:3 pbc="T T T"
Mg 0.0000 0.0000 0.0000
Mg -1.4663 6.3718 5.4320
Mg 0.0438 6.6793 2.7093
Mg 0.0651 6.0420 8.1127
Al -1.4421 5.6721 10.6458
Al -1.4566 5.1599 15.6270
Al 0.0568 5.4156 13.1490
H -1.5411 4.1374 7.1393
H -1.6547 1.9385 13.8729
H -1.4813 0.0687 16.5453
H -1.2462 3.2228 11.9713
H 0.0165 1.5548 3.9356
H -1.4669 3.1078 16.9023
H 0.0998 0.9171 9.2524
H 0.0384 4.4726 4.3722
H -0.2044 2.2893 11.2168
H 0.1190 0.3866 14.3618
H 0.2742 3.5565 9.2851
H 1.5254 1.8578 1.2044
H 1.4933 1.2430 6.6739
H 0.3607 2.8220 14.6532
H 1.5485 4.7810 1.6054
H 1.3870 2.5050 8.8089
H 1.6106 0.6454 11.7506
O -1.4796 -0.8972 16.6238
O -1.4474 5.1007 7.0645
O 0.0153 0.6163 3.6997
O -1.0239 2.2380 11.7538
O -1.4636 4.6894 12.3169
O 0.0232 -0.0644 9.2348
O -1.4407 4.0436 17.1730
O -0.0069 -0.6006 14.2023
O 0.0496 5.4391 4.3394
O 1.5239 0.9187 0.9832
O 0.4165 2.6364 8.7702
O 0.0788 4.8793 9.8950
O 1.5382 0.3044 6.4416
O 0.0533 4.4070 14.7604
O 1.5122 -0.3517 11.7173
O 0.7851 1.8954 14.6494
O 1.5565 5.7469 1.5935
```

***

Crystalline MgAl2SiHO7 at its relaxed geometry. Source: Materials Project, functional PBE.

- Crystal system: monoclinic
- Calculated formation energy: -275 kJ per mole of atoms
- Total DFT energy (no corrections): -6.8273 eV per atom
- M_tot: 1.00 μB per formula unit

Cell and atoms, written as extended XYZ:
```
48
Lattice="4.7882 -2.7705 0.0000 4.7882 2.7705 0.0000 -3.5551 0.0000 17.6376" Properties=species:S:1:pos:R:3 pbc="T T T"
Mg 0.4663 1.3999 17.6294
Mg 3.7774 1.3999 8.8271
Mg 2.2439 -1.3999 8.8106
Mg 5.5550 -1.3999 0.0083
Al 0.6166 1.3853 8.8188
Al 1.5082 0.8484 4.4013
Al 3.8994 2.2294 4.4094
Al -0.2693 -0.8484 13.2201
Al 2.3941 -1.3853 0.0000
Al 6.2906 0.8484 4.4175
Al 2.1219 -2.2294 13.2282
Al 4.5131 -0.8484 13.2363
Si 2.1131 0.5391 11.5754
Si 2.1306 0.5391 14.8811
Si 3.8906 -0.5391 2.7566
Si 3.9082 -0.5391 6.0623
H -0.8791 0.5525 10.7711
H 0.8984 -0.5525 1.9523
H 5.1229 0.5525 15.6853
H 6.9004 -0.5525 6.8665
O -0.8525 0.5702 9.7593
O -1.0662 0.5393 12.3575
O 1.3339 1.8909 12.1333
O -1.1437 0.3293 16.8311
O 0.9250 -0.5702 0.9405
O 0.7114 -0.5393 3.5386
O 3.1163 0.8165 3.3055
O 0.5672 0.5394 14.3415
O 2.9098 1.8909 14.3232
O 0.6338 -0.3293 8.0123
O 2.1062 0.5568 9.9176
O 2.3447 -0.5394 5.5226
O 4.6825 0.8166 5.5133
O 2.1376 0.5568 16.5389
O 3.8837 -0.5568 1.0988
O 1.3388 -0.8166 12.1243
O 3.6766 0.5394 12.1150
O 3.9151 -0.5568 7.7201
O 5.3875 0.3293 9.6254
O 3.1115 -1.8909 3.3145
O 5.4541 -0.5394 3.2962
O 2.9049 -0.8165 14.3321
O 5.3099 0.5393 14.0990
O 5.0962 0.5702 16.6972
O 7.1650 -0.3293 0.8066
O 4.6873 -1.8909 5.5044
O 7.0875 -0.5393 5.2802
O 6.8738 -0.5702 7.8784
```

***

Repeat the seventh record exactly.
Crystalline MgAl2SiHO7 at its relaxed geometry. Source: Materials Project, functional PBE.

- Crystal system: monoclinic
- Calculated formation energy: -275 kJ per mole of atoms
- Total DFT energy (no corrections): -6.8273 eV per atom
- M_tot: 1.00 μB per formula unit

Cell and atoms, written as extended XYZ:
```
48
Lattice="4.7882 -2.7705 0.0000 4.7882 2.7705 0.0000 -3.5551 0.0000 17.6376" Properties=species:S:1:pos:R:3 pbc="T T T"
Mg 0.4663 1.3999 17.6294
Mg 3.7774 1.3999 8.8271
Mg 2.2439 -1.3999 8.8106
Mg 5.5550 -1.3999 0.0083
Al 0.6166 1.3853 8.8188
Al 1.5082 0.8484 4.4013
Al 3.8994 2.2294 4.4094
Al -0.2693 -0.8484 13.2201
Al 2.3941 -1.3853 0.0000
Al 6.2906 0.8484 4.4175
Al 2.1219 -2.2294 13.2282
Al 4.5131 -0.8484 13.2363
Si 2.1131 0.5391 11.5754
Si 2.1306 0.5391 14.8811
Si 3.8906 -0.5391 2.7566
Si 3.9082 -0.5391 6.0623
H -0.8791 0.5525 10.7711
H 0.8984 -0.5525 1.9523
H 5.1229 0.5525 15.6853
H 6.9004 -0.5525 6.8665
O -0.8525 0.5702 9.7593
O -1.0662 0.5393 12.3575
O 1.3339 1.8909 12.1333
O -1.1437 0.3293 16.8311
O 0.9250 -0.5702 0.9405
O 0.7114 -0.5393 3.5386
O 3.1163 0.8165 3.3055
O 0.5672 0.5394 14.3415
O 2.9098 1.8909 14.3232
O 0.6338 -0.3293 8.0123
O 2.1062 0.5568 9.9176
O 2.3447 -0.5394 5.5226
O 4.6825 0.8166 5.5133
O 2.1376 0.5568 16.5389
O 3.8837 -0.5568 1.0988
O 1.3388 -0.8166 12.1243
O 3.6766 0.5394 12.1150
O 3.9151 -0.5568 7.7201
O 5.3875 0.3293 9.6254
O 3.1115 -1.8909 3.3145
O 5.4541 -0.5394 3.2962
O 2.9049 -0.8165 14.3321
O 5.3099 0.5393 14.0990
O 5.0962 0.5702 16.6972
O 7.1650 -0.3293 0.8066
O 4.6873 -1.8909 5.5044
O 7.0875 -0.5393 5.2802
O 6.8738 -0.5702 7.8784
```